Record 1
LaCo: optimized geometry, PBE.

## Properties
Formation energy ... 1.53 kcal/mol of atoms
Symmetry ... I2_13 (199)
Magnetization ... 0.064 μB/atom

```
data_LaCo
_chemical_formula_sum 'La8 Co8'
_cell_length_a 6.966
_cell_length_b 6.966
_cell_length_c 6.966
_cell_angle_alpha 90.00
_cell_angle_beta 90.00
_cell_angle_gamma 90.00
_symmetry_space_group_name_H-M 'P 1'
_symmetry_Int_Tables_number 1
loop_
_symmetry_equiv_pos_as_xyz
'x,y,z'
loop_
_atom_site_label
_atom_site_type_symbol
_atom_site_fract_x
_atom_site_fract_y
_atom_site_fract_z
La1 La 0.241 0.241 0.241
La2 La 0.241 0.759 0.259
La3 La 0.259 0.241 0.759
La4 La 0.259 0.759 0.741
La5 La 0.741 0.259 0.759
La6 La 0.741 0.741 0.741
La7 La 0.759 0.259 0.241
La8 La 0.759 0.741 0.259
Co1 Co 0.042 0.458 0.542
Co2 Co 0.042 0.542 0.958
Co3 Co 0.458 0.458 0.458
Co4 Co 0.458 0.542 0.042
Co5 Co 0.542 0.042 0.458
Co6 Co 0.542 0.958 0.042
Co7 Co 0.958 0.042 0.542
Co8 Co 0.958 0.958 0.958
```

---

Record 2
V9Ga2Sn: optimized geometry, PBE.

## Properties
Formation energy ... -2.93 kcal/mol of atoms
Symmetry ... Pmmm (47)
Magnetization ... 0.185 μB/atom

```
data_V9Ga2Sn
_chemical_formula_sum 'V18 Ga4 Sn2'
_cell_length_a 4.855
_cell_length_b 4.876
_cell_length_c 14.427
_cell_angle_alpha 90.00
_cell_angle_beta 90.00
_cell_angle_gamma 90.00
_symmetry_space_group_name_H-M 'P 1'
_symmetry_Int_Tables_number 1
loop_
_symmetry_equiv_pos_as_xyz
'x,y,z'
loop_
_atom_site_label
_atom_site_type_symbol
_atom_site_fract_x
_atom_site_fract_y
_atom_site_fract_z
V1 V 0.000 0.000 0.080
V2 V 0.000 0.000 0.258
V3 V 0.000 0.000 0.419
V4 V 0.000 0.000 0.581
V5 V 0.000 0.000 0.742
V6 V 0.000 0.000 0.920
V7 V 0.239 0.500 0.167
V8 V 0.239 0.500 0.833
V9 V 0.262 0.500 0.500
V10 V 0.500 0.259 0.340
V11 V 0.500 0.259 0.660
V12 V 0.500 0.261 0.000
V13 V 0.500 0.739 0.000
V14 V 0.500 0.741 0.340
V15 V 0.500 0.741 0.660
V16 V 0.738 0.500 0.500
V17 V 0.761 0.500 0.167
V18 V 0.761 0.500 0.833
Ga1 Ga 0.000 0.500 0.000
Ga2 Ga 0.000 0.500 0.334
Ga3 Ga 0.000 0.500 0.666
Ga4 Ga 0.500 0.000 0.500
Sn1 Sn 0.500 0.000 0.170
Sn2 Sn 0.500 0.000 0.830
```